# 1
Crystalline Li9Mn2Co5O16 at its relaxed geometry, computed with PBE+U.

## Properties
SG	P1 (1)
formation energy	-1.817	eV/atom
offset from the most stable computed form	0.047	eV/atom
E_tot	-185.85	eV/cell

a = 5.9293 Å, b = 6.4356 Å, c = 8.1331 Å
α = 88.95°, β = 89.09°, γ = 66.02°
Positions (direct):
O 0.5373 0.9769 0.2377
O 0.0080 0.0116 0.7610
O 0.7427 0.4889 0.7381
O 0.6520 0.2249 0.9903
O 0.1331 0.2629 0.5120
O 0.7573 0.5161 0.2619
O 0.2065 0.5262 0.2644
O 0.3632 0.7327 0.5005
O 0.6349 0.2616 0.5102
O 0.5125 0.0127 0.7595
O 0.9887 0.9887 0.2363
O 0.8567 0.7436 0.4854
O 0.3480 0.7801 0.9982
O 0.1143 0.2427 0.9908
O 0.2468 0.4828 0.7412
O 0.8937 0.7527 0.0101
Li 0.6317 0.2475 0.2568
Li 0.2448 0.5099 0.0050
Li 0.1169 0.2554 0.2574
Li 0.0091 0.9935 0.4963
Li 0.3739 0.7478 0.7447
Li 0.7548 0.4970 0.0036
Li 0.4969 0.9942 0.4941
Li 0.3729 0.7501 0.2558
Li 0.8771 0.7465 0.7429
Mn 0.5050 0.9953 0.0012
Mn 0.0085 0.9951 0.0004
Co 0.7368 0.5091 0.4982
Co 0.1254 0.2511 0.7484
Co 0.2466 0.5039 0.5000
Co 0.8758 0.7474 0.2507
Co 0.6282 0.2510 0.7468

***

# 2
Crystalline Sr2La2MnCuO8 at its relaxed geometry, computed with PBE+U.

## Properties
formation energy	-2.832	eV/atom
offset from the most stable computed form	0.029	eV/atom
E_tot	-197.15	eV/cell

a = 5.4603 Å, b = 5.4603 Å, c = 13.4308 Å
α = 78.27°, β = 78.27°, γ = 90.00°
Positions (direct):
Sr 0.3214 0.3216 0.3567
Sr 0.1784 0.1786 0.6432
Sr 0.8214 0.8216 0.3568
Sr 0.6784 0.6786 0.6433
O 0.0001 0.9999 0.5000
O 0.9999 0.5001 0.5000
O 0.4999 0.0001 0.5000
O 0.0794 0.0796 0.8409
O 0.7502 0.7502 0.0000
O 0.6578 0.1573 0.6856
O 0.5001 0.4999 0.5000
O 0.9204 0.9206 0.1591
O 0.8428 0.3422 0.3144
O 0.3428 0.8422 0.3144
O 0.1578 0.6572 0.6856
O 0.7502 0.2498 0.0000
O 0.2498 0.7502 0.0000
O 0.2498 0.2498 0.0000
O 0.4204 0.4205 0.1592
O 0.5795 0.5796 0.8408
Mn 0.2500 0.7500 0.5000
Mn 0.7499 0.2501 0.5000
Cu 0.4999 0.5001 0.0000
Cu 0.0000 0.0000 0.0000
La 0.5700 0.0701 0.8597
La 0.4299 0.9300 0.1403
La 0.0700 0.5701 0.8597
La 0.9299 0.4300 0.1403

***

# 3
Crystalline KLi4FeO5 at its relaxed geometry, computed with PBE+U.

## Properties
SG	P-1 (2)
formation energy	-1.779	eV/atom
E_tot	-111.66	eV/cell

a = 5.6815 Å, b = 5.8417 Å, c = 8.0480 Å
α = 89.10°, β = 101.15°, γ = 118.45°
Positions (direct):
O 0.2174 0.2280 0.9740
O 0.4877 0.8329 0.7209
O 0.2603 0.7582 0.0544
O 0.0294 0.1476 0.2840
O 0.9706 0.8524 0.7160
O 0.5123 0.1671 0.2791
O 0.0470 0.6850 0.3410
O 0.9530 0.3150 0.6590
O 0.7397 0.2418 0.9456
O 0.7826 0.7720 0.0260
Li 0.6592 0.9959 0.1215
Li 0.1167 0.6827 0.6021
Li 0.0935 0.4036 0.1177
Li 0.9065 0.5964 0.8823
Li 0.3842 0.5932 0.8981
Li 0.8833 0.3173 0.3979
Li 0.3408 0.0041 0.8785
Li 0.6158 0.4068 0.1019
K 0.3871 0.2329 0.5798
K 0.6129 0.7671 0.4202
Fe 0.1418 0.9421 0.1824
Fe 0.8582 0.0579 0.8176

***

# 4
Crystalline V3Cr2Sb3O16 at its relaxed geometry, computed with PBE+U.

## Properties
SG	Cm (8)
formation energy	-2.127	eV/atom
E_tot	-169.07	eV/cell

a = 6.1198 Å, b = 6.1198 Å, c = 9.1147 Å
α = 89.97°, β = 89.97°, γ = 59.35°
Positions (direct):
O 0.0028 0.0028 0.6784
O 0.6667 0.1699 0.8942
O 0.6596 0.6596 0.9090
O 0.3332 0.3332 0.4045
O 0.9513 0.5197 0.6619
O 0.8295 0.3354 0.3934
O 0.5213 0.5213 0.6536
O 0.3354 0.8295 0.3934
O 0.5197 0.9513 0.6619
O 0.8346 0.8346 0.3890
O 0.4807 0.0515 0.1611
O 0.0515 0.4807 0.1611
O 0.1699 0.6667 0.8942
O 0.4712 0.4712 0.1716
O 0.1660 0.1660 0.9005
O 0.9995 0.9995 0.1876
V 0.1667 0.6663 0.2913
V 0.8317 0.8317 0.7922
V 0.6663 0.1667 0.2913
Cr 0.3388 0.3388 0.0154
Cr 0.6695 0.6695 0.5107
Sb 0.8310 0.3340 0.7887
Sb 0.3340 0.8310 0.7887
Sb 0.1686 0.1686 0.2904

***

# 5
Crystalline Ca2VIrO6 at its relaxed geometry, computed with PBE+U.

## Properties
SG	P2_1/c (14)
formation energy	-2.485	eV/atom
E_tot	-141.29	eV/cell

a = 5.5376 Å, b = 5.3580 Å, c = 9.3234 Å
α = 55.29°, β = 90.00°, γ = 90.00°
Positions (direct):
O 0.4792 0.1531 0.7582
O 0.9792 0.8469 0.7418
O 0.7854 0.2414 0.9527
O 0.7146 0.2414 0.4527
O 0.1961 0.3338 0.4569
O 0.0208 0.1531 0.2582
O 0.6961 0.6662 0.0431
O 0.2146 0.7586 0.0473
O 0.5208 0.8469 0.2418
O 0.8039 0.6662 0.5431
O 0.3039 0.3338 0.9569
O 0.2854 0.7586 0.5473
Ir 0.0000 0.5000 0.0000
Ir 0.5000 0.5000 0.5000
V 0.0000 0.0000 0.5000
V 0.5000 0.0000 0.0000
Ca 0.0555 0.2657 0.7491
Ca 0.4445 0.2657 0.2491
Ca 0.9445 0.7343 0.2509
Ca 0.5555 0.7343 0.7509

***

# 6
Crystalline Li3Fe3P4O16 at its relaxed geometry, computed with PBE+U.

## Properties
SG	P2_1/c (14)
formation energy	-2.444	eV/atom
offset from the most stable computed form	0.015	eV/atom
E_tot	-355.48	eV/cell

a = 5.0189 Å, b = 8.3276 Å, c = 14.5381 Å
α = 79.96°, β = 90.00°, γ = 90.00°
Positions (direct):
O 0.9093 0.8089 0.8429
O 0.9732 0.2385 0.5196
O 0.1958 0.5434 0.3977
O 0.2934 0.3944 0.6096
O 0.0362 0.8089 0.3023
O 0.4732 0.2615 0.9804
O 0.5907 0.3089 0.3429
O 0.4093 0.6911 0.6571
O 0.3042 0.0434 0.8977
O 0.2116 0.1052 0.3725
O 0.0268 0.7615 0.4804
O 0.4065 0.9305 0.7432
O 0.2066 0.8944 0.1096
O 0.7934 0.1056 0.8904
O 0.3188 0.9756 0.5721
O 0.6812 0.0244 0.4279
O 0.9638 0.1911 0.6977
O 0.9065 0.5695 0.7568
O 0.2884 0.6052 0.8725
O 0.1812 0.4756 0.0721
O 0.8188 0.5244 0.9279
O 0.5362 0.6911 0.1977
O 0.6958 0.9566 0.1023
O 0.5268 0.7385 0.0196
O 0.0935 0.4305 0.2432
O 0.8042 0.4566 0.6023
O 0.7066 0.6056 0.3904
O 0.5935 0.0695 0.2568
O 0.7116 0.3948 0.1275
O 0.4638 0.3089 0.8023
O 0.0907 0.1911 0.1571
O 0.7884 0.8948 0.6275
Li 0.0000 0.0000 0.0000
Li 0.9855 0.3265 0.3782
Li 0.5000 0.5000 0.5000
Li 0.5145 0.8265 0.8782
Li 0.0145 0.6735 0.6218
Li 0.4855 0.1735 0.1218
P 0.4879 0.8768 0.6494
P 0.9830 0.6847 0.3926
P 0.9879 0.6232 0.8506
P 0.0121 0.3768 0.1494
P 0.4830 0.8153 0.1074
P 0.0170 0.3153 0.6074
P 0.5170 0.1847 0.8926
P 0.5121 0.1232 0.3506
Fe 0.5650 0.4794 0.7069
Fe 0.9350 0.9794 0.2069
Fe 0.0000 0.0000 0.5000
Fe 0.4350 0.5206 0.2931
Fe 0.0650 0.0206 0.7931
Fe 0.5000 0.5000 0.0000